[1]
US2O17 | PBE-GGA | relaxed

* magnetization: 0.400 μB/atom
* space-group type: P2_1/m, No. 11
* ΔE_f: -54.0 kJ per mole of atoms

Cell: 7.278 12.501 7.615 Å, 90.00 96.44 90.00°
Fractional coordinates of all 40 atoms:
U (0.177, 0.250, 0.193)
U (0.823, 0.750, 0.807)
S (0.385, 0.519, 0.731)
S (0.385, 0.981, 0.731)
S (0.615, 0.019, 0.269)
S (0.615, 0.481, 0.269)
O (0.059, 0.147, 0.005)
O (0.059, 0.353, 0.005)
O (0.115, 0.161, 0.384)
O (0.115, 0.339, 0.384)
O (0.120, 0.702, 0.222)
O (0.120, 0.798, 0.222)
O (0.129, 0.750, 0.855)
O (0.255, 0.541, 0.573)
O (0.255, 0.959, 0.573)
O (0.301, 0.549, 0.894)
O (0.301, 0.951, 0.894)
O (0.357, 0.250, 0.045)
O (0.391, 0.250, 0.452)
O (0.428, 0.097, 0.748)
O (0.428, 0.403, 0.748)
O (0.439, 0.079, 0.278)
O (0.439, 0.421, 0.278)
O (0.561, 0.579, 0.722)
O (0.561, 0.921, 0.722)
O (0.572, 0.597, 0.252)
O (0.572, 0.903, 0.252)
O (0.609, 0.750, 0.548)
O (0.643, 0.750, 0.955)
O (0.699, 0.049, 0.106)
O (0.699, 0.451, 0.106)
O (0.745, 0.041, 0.427)
O (0.745, 0.459, 0.427)
O (0.871, 0.250, 0.145)
O (0.880, 0.202, 0.778)
O (0.880, 0.298, 0.778)
O (0.885, 0.661, 0.616)
O (0.885, 0.839, 0.616)
O (0.941, 0.647, 0.995)
O (0.941, 0.853, 0.995)

***

[2]
USO6 | PBE-GGA | relaxed

* magnetization: 0.000 μB/atom
* space-group type: Pnma, No. 62
* ΔE_f: -251.8 kJ per mole of atoms

Cell: 11.953 5.521 6.902 Å, 90.00 90.00 90.00°
Fractional coordinates of all 32 atoms:
U (0.058, 0.250, 0.114)
U (0.442, 0.750, 0.614)
U (0.558, 0.250, 0.386)
U (0.942, 0.750, 0.886)
S (0.135, 0.750, 0.441)
S (0.365, 0.250, 0.941)
S (0.635, 0.750, 0.059)
S (0.865, 0.250, 0.559)
O (0.032, 0.750, 0.552)
O (0.079, 0.002, 0.896)
O (0.079, 0.498, 0.896)
O (0.138, 0.532, 0.309)
O (0.138, 0.968, 0.309)
O (0.235, 0.750, 0.563)
O (0.265, 0.250, 0.063)
O (0.362, 0.032, 0.809)
O (0.362, 0.468, 0.809)
O (0.421, 0.502, 0.396)
O (0.421, 0.998, 0.396)
O (0.468, 0.250, 0.052)
O (0.532, 0.750, 0.948)
O (0.579, 0.002, 0.604)
O (0.579, 0.498, 0.604)
O (0.638, 0.532, 0.191)
O (0.638, 0.968, 0.191)
O (0.735, 0.750, 0.937)
O (0.765, 0.250, 0.437)
O (0.862, 0.032, 0.691)
O (0.862, 0.468, 0.691)
O (0.921, 0.502, 0.104)
O (0.921, 0.998, 0.104)
O (0.968, 0.250, 0.448)

***

[3]
Y2US3O2 | PBE-GGA | relaxed

* magnetization: 0.237 μB/atom
* space-group type: I4mm, No. 107
* ΔE_f: -276.9 kJ per mole of atoms

Cell: 10.965 10.965 10.965 Å, 159.90 159.90 28.57°
Fractional coordinates of all 8 atoms:
Y (0.000, 0.000, 0.000)
Y (0.314, 0.314, 0.000)
U (0.693, 0.693, 0.000)
S (0.130, 0.130, 0.000)
S (0.502, 0.502, 0.000)
S (0.871, 0.871, 0.000)
O (0.249, 0.749, 0.500)
O (0.749, 0.249, 0.500)

***

[4]
Y4US5O3 | PBE-GGA | relaxed

* magnetization: 0.154 μB/atom
* space-group type: Pmn2_1, No. 31
* ΔE_f: -280.4 kJ per mole of atoms

Cell: 3.871 14.022 18.626 Å, 90.00 90.00 90.00°
Fractional coordinates of all 52 atoms:
Y (0.000, 0.091, 0.107)
Y (0.000, 0.105, 0.676)
Y (0.000, 0.350, 0.400)
Y (0.000, 0.363, 0.789)
Y (0.000, 0.364, 0.170)
Y (0.000, 0.608, 0.493)
Y (0.000, 0.863, 0.000)
Y (0.000, 0.863, 0.382)
Y (0.500, 0.137, 0.500)
Y (0.500, 0.137, 0.882)
Y (0.500, 0.392, 0.993)
Y (0.500, 0.636, 0.670)
Y (0.500, 0.637, 0.289)
Y (0.500, 0.650, 0.900)
Y (0.500, 0.895, 0.176)
Y (0.500, 0.909, 0.607)
U (0.000, 0.596, 0.059)
U (0.000, 0.850, 0.767)
U (0.500, 0.150, 0.267)
U (0.500, 0.404, 0.559)
S (0.000, 0.039, 0.818)
S (0.000, 0.157, 0.385)
S (0.000, 0.244, 0.573)
S (0.000, 0.264, 0.924)
S (0.000, 0.475, 0.669)
S (0.000, 0.538, 0.353)
S (0.000, 0.657, 0.783)
S (0.000, 0.743, 0.599)
S (0.000, 0.763, 0.247)
S (0.000, 0.974, 0.502)
S (0.500, 0.026, 0.002)
S (0.500, 0.237, 0.747)
S (0.500, 0.257, 0.099)
S (0.500, 0.343, 0.283)
S (0.500, 0.462, 0.853)
S (0.500, 0.525, 0.169)
S (0.500, 0.736, 0.424)
S (0.500, 0.756, 0.073)
S (0.500, 0.843, 0.885)
S (0.500, 0.961, 0.318)
O (0.000, 0.181, 0.217)
O (0.000, 0.432, 0.051)
O (0.000, 0.445, 0.502)
O (0.000, 0.679, 0.958)
O (0.000, 0.929, 0.118)
O (0.000, 0.943, 0.673)
O (0.500, 0.057, 0.173)
O (0.500, 0.071, 0.618)
O (0.500, 0.321, 0.458)
O (0.500, 0.555, 0.002)
O (0.500, 0.568, 0.551)
O (0.500, 0.819, 0.717)

***

[5]
Y2S2O | PBE-GGA | relaxed

* space-group type: P2_1/c, No. 14
* ΔE_f: -284.8 kJ per mole of atoms

Cell: 8.319 6.924 6.903 Å, 90.00 99.34 90.00°
Fractional coordinates of all 20 atoms:
Y (0.076, 0.144, 0.321)
Y (0.076, 0.356, 0.821)
Y (0.362, 0.555, 0.250)
Y (0.362, 0.945, 0.750)
Y (0.638, 0.055, 0.250)
Y (0.638, 0.445, 0.750)
Y (0.924, 0.644, 0.179)
Y (0.924, 0.856, 0.679)
S (0.180, 0.633, 0.577)
S (0.180, 0.867, 0.077)
S (0.425, 0.223, 0.470)
S (0.425, 0.277, 0.970)
S (0.575, 0.723, 0.030)
S (0.575, 0.777, 0.530)
S (0.820, 0.133, 0.923)
S (0.820, 0.367, 0.423)
O (0.117, 0.087, 0.650)
O (0.117, 0.413, 0.150)
O (0.883, 0.587, 0.850)
O (0.883, 0.913, 0.350)

***

[6]
Zn2S2O11 | PBE-GGA | relaxed

* magnetization: 0.295 μB/atom
* space-group type: P-1, No. 2
* ΔE_f: -72.5 kJ per mole of atoms

Cell: 7.325 9.023 9.390 Å, 91.95 98.30 97.46°
Fractional coordinates of all 30 atoms:
Zn (0.000, 0.000, 0.000)
Zn (0.007, 0.506, 0.731)
Zn (0.500, 0.500, 0.500)
Zn (0.993, 0.494, 0.269)
S (0.132, 0.290, 0.517)
S (0.244, 0.613, 0.034)
S (0.756, 0.387, 0.966)
S (0.868, 0.710, 0.483)
O (0.003, 0.313, 0.627)
O (0.032, 0.311, 0.368)
O (0.138, 0.740, 0.029)
O (0.199, 0.103, 0.102)
O (0.208, 0.510, 0.154)
O (0.220, 0.523, 0.892)
O (0.251, 0.986, 0.784)
O (0.276, 0.446, 0.556)
O (0.402, 0.832, 0.502)
O (0.418, 0.997, 0.833)
O (0.459, 0.761, 0.605)
O (0.541, 0.239, 0.395)
O (0.582, 0.003, 0.167)
O (0.598, 0.168, 0.498)
O (0.724, 0.554, 0.444)
O (0.749, 0.014, 0.216)
O (0.780, 0.477, 0.108)
O (0.792, 0.490, 0.846)
O (0.801, 0.897, 0.898)
O (0.862, 0.260, 0.971)
O (0.968, 0.689, 0.632)
O (0.997, 0.687, 0.373)

***

[7]
Zn2SO6 | PBE-GGA | relaxed

* magnetization: 0.222 μB/atom
* space-group type: P2_12_12_1, No. 19
* ΔE_f: -139.0 kJ per mole of atoms

Cell: 4.908 6.417 14.292 Å, 90.00 90.00 90.00°
Fractional coordinates of all 36 atoms:
Zn (0.000, 0.141, 0.247)
Zn (0.000, 0.641, 0.253)
Zn (0.163, 0.372, 0.441)
Zn (0.337, 0.628, 0.941)
Zn (0.500, 0.359, 0.753)
Zn (0.500, 0.859, 0.747)
Zn (0.663, 0.128, 0.559)
Zn (0.837, 0.872, 0.059)
S (0.012, 0.109, 0.868)
S (0.488, 0.891, 0.368)
S (0.512, 0.391, 0.132)
S (0.988, 0.609, 0.632)
O (0.032, 0.606, 0.530)
O (0.043, 0.140, 0.525)
O (0.059, 0.886, 0.168)
O (0.163, 0.300, 0.843)
O (0.164, 0.918, 0.838)
O (0.238, 0.392, 0.180)
O (0.262, 0.608, 0.680)
O (0.336, 0.082, 0.338)
O (0.337, 0.700, 0.343)
O (0.441, 0.114, 0.668)
O (0.457, 0.860, 0.025)
O (0.468, 0.394, 0.030)
O (0.532, 0.894, 0.470)
O (0.543, 0.360, 0.475)
O (0.559, 0.614, 0.832)
O (0.663, 0.200, 0.157)
O (0.664, 0.582, 0.162)
O (0.738, 0.108, 0.820)
O (0.762, 0.892, 0.320)
O (0.836, 0.418, 0.662)
O (0.837, 0.800, 0.657)
O (0.941, 0.386, 0.332)
O (0.957, 0.640, 0.975)
O (0.968, 0.106, 0.970)

***

[8]
Zn3S2O9 | PBE-GGA | relaxed

* space-group type: P2_1/m, No. 11
* ΔE_f: -179.5 kJ per mole of atoms

Cell: 7.540 6.720 8.035 Å, 90.00 117.52 90.00°
Fractional coordinates of all 28 atoms:
Zn (0.000, 0.000, 0.000)
Zn (0.000, 0.500, 0.000)
Zn (0.167, 0.250, 0.774)
Zn (0.377, 0.250, 0.256)
Zn (0.623, 0.750, 0.744)
Zn (0.833, 0.750, 0.226)
S (0.152, 0.750, 0.700)
S (0.443, 0.750, 0.286)
S (0.557, 0.250, 0.714)
S (0.848, 0.250, 0.300)
O (0.026, 0.750, 0.496)
O (0.109, 0.570, 0.786)
O (0.109, 0.930, 0.786)
O (0.131, 0.250, 0.007)
O (0.311, 0.571, 0.241)
O (0.311, 0.929, 0.241)
O (0.364, 0.750, 0.744)
O (0.405, 0.250, 0.514)
O (0.452, 0.250, 0.831)
O (0.548, 0.750, 0.169)
O (0.595, 0.750, 0.486)
O (0.636, 0.250, 0.256)
O (0.689, 0.071, 0.759)
O (0.689, 0.429, 0.759)
O (0.869, 0.750, 0.993)
O (0.891, 0.070, 0.214)
O (0.891, 0.430, 0.214)
O (0.974, 0.250, 0.504)

***

[9]
ZnSO11 | PBE-GGA | relaxed

* magnetization: 0.462 μB/atom
* space-group type: P2_12_12_1, No. 19
* ΔE_f: 6.4 kJ per mole of atoms

Cell: 7.178 11.191 13.088 Å, 90.00 90.00 90.00°
Fractional coordinates of all 52 atoms:
Zn (0.086, 0.059, 0.128)
Zn (0.414, 0.941, 0.628)
Zn (0.586, 0.441, 0.872)
Zn (0.914, 0.559, 0.372)
S (0.077, 0.234, 0.674)
S (0.423, 0.766, 0.174)
S (0.577, 0.266, 0.326)
S (0.923, 0.734, 0.826)
O (0.003, 0.354, 0.671)
O (0.025, 0.216, 0.141)
O (0.037, 0.852, 0.498)
O (0.071, 0.931, 0.044)
O (0.074, 0.436, 0.029)
O (0.086, 0.164, 0.582)
O (0.148, 0.186, 0.768)
O (0.149, 0.025, 0.264)
O (0.241, 0.354, 0.292)
O (0.241, 0.464, 0.299)
O (0.244, 0.408, 0.049)
O (0.256, 0.592, 0.549)
O (0.259, 0.536, 0.799)
O (0.259, 0.646, 0.792)
O (0.351, 0.975, 0.764)
O (0.352, 0.814, 0.268)
O (0.414, 0.836, 0.082)
O (0.426, 0.564, 0.529)
O (0.429, 0.069, 0.544)
O (0.463, 0.148, 0.998)
O (0.475, 0.784, 0.641)
O (0.497, 0.646, 0.171)
O (0.503, 0.146, 0.329)
O (0.525, 0.284, 0.859)
O (0.537, 0.648, 0.502)
O (0.571, 0.569, 0.956)
O (0.574, 0.064, 0.971)
O (0.586, 0.336, 0.418)
O (0.648, 0.314, 0.232)
O (0.649, 0.475, 0.736)
O (0.741, 0.036, 0.701)
O (0.741, 0.146, 0.708)
O (0.744, 0.092, 0.951)
O (0.756, 0.908, 0.451)
O (0.759, 0.854, 0.208)
O (0.759, 0.964, 0.201)
O (0.851, 0.525, 0.236)
O (0.852, 0.686, 0.732)
O (0.914, 0.664, 0.918)
O (0.926, 0.936, 0.471)
O (0.929, 0.431, 0.456)
O (0.963, 0.352, 0.002)
O (0.975, 0.716, 0.359)
O (0.997, 0.854, 0.829)

***

[10]
Zn2S2O11 | PBE-GGA | relaxed

* magnetization: 0.172 μB/atom
* space-group type: P-1, No. 2
* ΔE_f: -68.7 kJ per mole of atoms

Cell: 7.063 8.369 9.329 Å, 94.24 90.46 90.07°
Fractional coordinates of all 30 atoms:
Zn (0.000, 0.000, 0.000)
Zn (0.014, 0.491, 0.275)
Zn (0.500, 0.500, 0.500)
Zn (0.986, 0.509, 0.725)
S (0.147, 0.734, 0.495)
S (0.231, 0.381, 0.982)
S (0.769, 0.619, 0.018)
S (0.853, 0.266, 0.505)
O (0.010, 0.295, 0.616)
O (0.071, 0.708, 0.643)
O (0.088, 0.249, 0.962)
O (0.182, 0.013, 0.186)
O (0.200, 0.501, 0.870)
O (0.221, 0.467, 0.131)
O (0.264, 0.566, 0.449)
O (0.278, 0.916, 0.971)
O (0.328, 0.949, 0.110)
O (0.376, 0.194, 0.485)
O (0.421, 0.238, 0.366)
O (0.579, 0.762, 0.634)
O (0.624, 0.806, 0.515)
O (0.672, 0.051, 0.890)
O (0.722, 0.084, 0.029)
O (0.736, 0.434, 0.551)
O (0.779, 0.533, 0.869)
O (0.800, 0.499, 0.130)
O (0.818, 0.987, 0.814)
O (0.912, 0.751, 0.038)
O (0.929, 0.292, 0.357)
O (0.990, 0.705, 0.384)

***

- What is the formula in the sixth record?
  Zn2S2O11

***

- Which value of ΔE_f does entry 1 give?
  -54.0 kJ per mole of atoms